No. 1
LiCoPO4 PBE with a Hubbard U optimized geometry; formation energy = -223.7 kJ per mole of atoms; E above lowest polymorph = 0.090 eV/atom; total energy = -6.580 eV per atom
1.0
0.0022 0.0007 4.9615
9.7570 -0.0067 0.0041
-0.0042 6.1811 0.0009
Li Co P O
4 4 4 16
Direct
0.0004 0.0001 0.9992
0.0006 0.9997 0.5005
0.4997 0.4998 0.0001
0.5002 0.5000 0.4999
0.0306 0.6632 0.7500
0.5310 0.8372 0.2502
0.4694 0.1624 0.7486
0.9690 0.3374 0.2504
0.4586 0.1775 0.2492
0.9586 0.3224 0.7507
0.0416 0.6772 0.2500
0.5412 0.8229 0.7501
0.7698 0.1573 0.2500
0.2696 0.3426 0.7508
0.7305 0.6568 0.2500
0.2299 0.8436 0.7502
0.8810 0.1660 0.7506
0.3803 0.3340 0.2501
0.6187 0.6663 0.7495
0.1192 0.8337 0.2504
0.3344 0.1086 0.0457
0.3334 0.1084 0.4522
0.8334 0.3916 0.9539
0.8336 0.3912 0.5474
0.1665 0.6083 0.0465
0.1663 0.6081 0.4531
0.6659 0.8921 0.5472
0.6664 0.8915 0.9535

No. 2
Li3Co4SnO8 PBE with a Hubbard U optimized geometry; formation energy = -163.7 kJ per mole of atoms; E above lowest polymorph = 0.009 eV/atom; total energy = -5.803 eV per atom
1.0
-3.4773 -4.2215 -2.5208
-5.1581 4.8132 -7.7102
1.7888 -2.6316 -5.1727
Li Co Sn O
6 8 2 16
Direct
0.9981 0.4997 0.9960
0.5019 0.0003 0.5040
0.2500 0.2500 0.7500
0.7500 0.7500 0.2500
0.0072 0.4905 0.5111
0.4928 0.0095 0.9889
0.7500 0.7500 0.7500
0.2500 0.2500 0.2500
0.0007 0.9967 0.0017
0.4993 0.5032 0.4984
0.7500 0.2500 0.2500
0.2500 0.7500 0.7500
0.0010 0.0006 0.5020
0.4990 0.4994 0.9980
0.7500 0.2500 0.7500
0.2500 0.7500 0.2500
0.1402 0.6373 0.0930
0.6399 0.1276 0.6184
0.8601 0.3724 0.8816
0.3598 0.8627 0.4070
0.9152 0.8643 0.8566
0.3706 0.3658 0.3574
0.1294 0.1342 0.1427
0.5848 0.6357 0.6434
0.8885 0.8728 0.3698
0.3821 0.3694 0.8722
0.1242 0.6231 0.6073
0.6272 0.1258 0.1156
0.8728 0.3741 0.3845
0.3758 0.8769 0.8927
0.1180 0.1306 0.6278
0.6115 0.6272 0.1302

No. 3
NaCaDyWO6 PBE with a Hubbard U optimized geometry; formation energy = -274.3 kJ per mole of atoms; total energy = -7.045 eV per atom
1.0
0.0000 -4.1483 -4.1483
4.1483 0.0000 -4.1483
4.1483 -4.1483 0.0000
Na Ca Dy W O
1 1 1 1 6
Direct
0.2500 0.2500 0.2500
0.7500 0.7500 0.7500
0.0000 0.0000 0.0000
0.5000 0.5000 0.5000
0.7340 0.2660 0.2660
0.2660 0.7340 0.7340
0.7340 0.2660 0.7340
0.2660 0.7340 0.2660
0.7340 0.7340 0.2660
0.2660 0.2660 0.7340

No. 4
Cs3NdMo3O12 PBE with a Hubbard U optimized geometry; formation energy = -233.3 kJ per mole of atoms; total energy = -6.708 eV per atom
1.0
6.5258 0.0000 0.0000
0.0000 9.5360 0.0000
0.0000 0.0000 26.4223
Cs Nd Mo O
12 4 12 48
Direct
0.2500 0.0247 0.4079
0.2500 0.5247 0.0921
0.7500 0.9753 0.5921
0.7500 0.4753 0.9079
0.2500 0.1039 0.8201
0.2500 0.6039 0.6799
0.7500 0.8961 0.1799
0.7500 0.3961 0.3201
0.2500 0.1884 0.2410
0.2500 0.6884 0.2590
0.7500 0.8116 0.7590
0.7500 0.3116 0.7410
0.2500 0.3185 0.5408
0.2500 0.8185 0.9592
0.7500 0.6815 0.4592
0.7500 0.1815 0.0408
0.2500 0.7527 0.5242
0.2500 0.2527 0.9758
0.7500 0.2473 0.4758
0.7500 0.7473 0.0242
0.2500 0.4806 0.4006
0.2500 0.9806 0.0994
0.7500 0.5194 0.5994
0.7500 0.0194 0.9006
0.2500 0.1152 0.6743
0.2500 0.6152 0.8257
0.7500 0.8848 0.3257
0.7500 0.3848 0.1743
0.2500 0.8017 0.5885
0.2500 0.3017 0.9115
0.7500 0.1983 0.4115
0.7500 0.6983 0.0885
0.4739 0.8217 0.4921
0.0261 0.3217 0.0079
0.9739 0.1783 0.5079
0.5261 0.6783 0.9921
0.5261 0.1783 0.5079
0.9739 0.6783 0.9921
0.0261 0.8217 0.4921
0.4739 0.3217 0.0079
0.2500 0.5641 0.5188
0.2500 0.0641 0.9812
0.7500 0.4359 0.4812
0.7500 0.9359 0.0188
0.2500 0.4040 0.3387
0.2500 0.9040 0.1613
0.7500 0.5960 0.6613
0.7500 0.0960 0.8387
0.2500 0.3418 0.4464
0.2500 0.8418 0.0536
0.7500 0.6582 0.5536
0.7500 0.1582 0.9464
0.4790 0.5858 0.4059
0.0210 0.0858 0.0941
0.9790 0.4142 0.5941
0.5210 0.9142 0.9059
0.5210 0.4142 0.5941
0.9790 0.9142 0.9059
0.0210 0.5858 0.4059
0.4790 0.0858 0.0941
0.0241 0.0214 0.6933
0.4759 0.5214 0.8067
0.5241 0.9786 0.3067
0.9759 0.4786 0.1933
0.9759 0.9786 0.3067
0.5241 0.4786 0.1933
0.4759 0.0214 0.6933
0.0241 0.5214 0.8067
0.2500 0.2791 0.7078
0.2500 0.7791 0.7922
0.7500 0.7209 0.2922
0.7500 0.2209 0.2078
0.2500 0.1473 0.6062
0.2500 0.6473 0.8938
0.7500 0.8527 0.3938
0.7500 0.3527 0.1062